Record 1
{
  "formula": "Li7MnP4O14F",
  "functional": "PBE with a Hubbard U",
  "state": "optimized geometry",
  "cell": [[4.063, 4.935, 0.000], [-4.063, 4.935, 0.000], [0.000, 2.047, 14.532]],
  "species": ["P", "P", "P", "P", "P", "P", "P", "P", "O", "O", "O", "O", "O", "O", "O", "O", "O", "O", "O", "O", "O", "O", "O", "O", "O", "O", "O", "O", "O", "O", "O", "O", "O", "O", "O", "O", "Li", "Li", "Li", "Li", "Li", "Li", "Li", "Li", "Li", "Li", "Li", "Li", "Li", "Li", "F", "F", "Mn", "Mn"],
  "frac_coords": [[0.620, 0.529, 0.982], [0.251, 0.619, 0.655], [0.191, 0.840, 0.156], [0.529, 0.620, 0.482], [0.862, 0.913, 0.831], [0.619, 0.251, 0.155], [0.840, 0.191, 0.656], [0.913, 0.862, 0.331], [0.373, 0.784, 0.684], [0.044, 0.727, 0.613], [0.029, 0.211, 0.584], [0.420, 0.855, 0.461], [0.744, 0.613, 0.519], [0.537, 0.458, 0.411], [0.085, 0.668, 0.121], [0.752, 0.086, 0.894], [0.086, 0.752, 0.394], [0.211, 0.029, 0.084], [0.855, 0.420, 0.961], [0.508, 0.386, 0.066], [0.784, 0.373, 0.184], [0.428, 0.235, 0.226], [0.235, 0.428, 0.726], [0.060, 0.770, 0.868], [0.458, 0.537, 0.911], [0.770, 0.060, 0.368], [0.388, 0.738, 0.208], [0.964, 0.037, 0.738], [0.037, 0.964, 0.238], [0.705, 0.792, 0.798], [0.792, 0.705, 0.298], [0.613, 0.744, 0.019], [0.738, 0.388, 0.708], [0.727, 0.044, 0.113], [0.386, 0.508, 0.566], [0.668, 0.085, 0.621], [0.949, 0.104, 0.994], [0.122, 0.581, 0.974], [0.474, 0.036, 0.986], [0.036, 0.474, 0.486], [0.825, 0.367, 0.335], [0.367, 0.825, 0.835], [0.394, 0.988, 0.324], [0.302, 0.133, 0.659], [0.581, 0.122, 0.474], [0.477, 0.326, 0.821], [0.133, 0.302, 0.159], [0.104, 0.949, 0.494], [0.326, 0.477, 0.321], [0.988, 0.394, 0.824], [0.126, 0.292, 0.383], [0.292, 0.126, 0.883], [0.721, 0.721, 0.157], [0.721, 0.721, 0.657]],
  "crystal_system": "monoclinic"
}



Record 2
{
  "formula": "Li4MnP2O9",
  "functional": "PBE with a Hubbard U",
  "state": "optimized geometry",
  "cell": [[12.640, 0.000, -0.276], [0.000, 7.113, 0.000], [-2.340, 0.000, 19.259]],
  "species": ["O", "O", "O", "O", "O", "O", "O", "O", "O", "O", "O", "O", "O", "O", "O", "O", "O", "O", "O", "O", "O", "O", "O", "O", "O", "O", "O", "O", "O", "O", "O", "O", "O", "O", "O", "O", "O", "O", "O", "O", "O", "O", "O", "O", "O", "O", "O", "O", "O", "O", "O", "O", "O", "O", "O", "O", "O", "O", "O", "O", "O", "O", "O", "O", "O", "O", "O", "O", "O", "O", "O", "O", "O", "O", "O", "O", "O", "O", "O", "O", "O", "O", "O", "O", "O", "O", "O", "O", "O", "O", "Li", "Li", "Li", "Li", "Li", "Li", "Li", "Li", "Li", "Li", "Li", "Li", "Li", "Li", "Li", "Li", "Li", "Li", "Li", "Li", "Li", "Li", "Li", "Li", "Li", "Li", "Li", "Li", "Li", "Li", "Li", "Li", "Li", "Li", "Li", "Li", "Li", "Li", "Li", "Li", "P", "P", "P", "P", "P", "P", "P", "P", "P", "P", "P", "P", "P", "P", "P", "P", "P", "P", "P", "P", "Mn", "Mn", "Mn", "Mn", "Mn", "Mn", "Mn", "Mn", "Mn", "Mn"],
  "frac_coords": [[0.517, 0.265, 0.051], [0.787, 0.586, 0.241], [0.117, 0.756, 0.756], [0.984, 0.666, 0.639], [0.072, 0.320, 0.641], [0.189, 0.369, 0.540], [0.591, 0.664, 0.846], [0.998, 0.724, 0.486], [0.002, 0.724, 0.014], [0.386, 0.392, 0.936], [0.327, 0.947, 0.443], [0.597, 0.332, 0.708], [0.403, 0.668, 0.292], [0.409, 0.336, 0.154], [0.787, 0.414, 0.741], [0.806, 0.354, 0.358], [0.000, 0.425, 0.750], [0.859, 0.046, 0.915], [0.327, 0.053, 0.943], [0.984, 0.334, 0.139], [0.928, 0.320, 0.859], [0.193, 0.329, 0.908], [0.614, 0.392, 0.564], [0.483, 0.265, 0.449], [0.326, 0.317, 0.663], [0.733, 0.925, 0.259], [0.597, 0.668, 0.208], [0.938, 0.996, 0.171], [0.452, 0.995, 0.617], [0.326, 0.683, 0.163], [0.673, 0.947, 0.057], [0.596, 0.764, 0.678], [0.072, 0.680, 0.141], [0.141, 0.954, 0.085], [0.733, 0.075, 0.759], [0.548, 0.995, 0.883], [0.267, 0.925, 0.241], [0.859, 0.954, 0.415], [0.206, 0.761, 0.881], [0.794, 0.761, 0.619], [0.548, 0.005, 0.383], [0.267, 0.075, 0.741], [0.483, 0.735, 0.949], [0.062, 0.004, 0.829], [0.938, 0.004, 0.671], [0.883, 0.756, 0.744], [0.724, 0.726, 0.967], [0.386, 0.608, 0.436], [0.062, 0.996, 0.329], [0.404, 0.764, 0.822], [0.674, 0.683, 0.337], [0.591, 0.336, 0.346], [0.602, 0.394, 0.949], [0.807, 0.329, 0.592], [0.674, 0.317, 0.837], [0.189, 0.631, 0.040], [0.602, 0.606, 0.449], [0.398, 0.394, 0.551], [0.213, 0.586, 0.259], [0.811, 0.631, 0.460], [0.016, 0.666, 0.861], [0.998, 0.276, 0.986], [0.000, 0.575, 0.250], [0.409, 0.664, 0.654], [0.596, 0.236, 0.178], [0.673, 0.053, 0.557], [0.452, 0.005, 0.117], [0.614, 0.608, 0.064], [0.213, 0.414, 0.759], [0.276, 0.726, 0.533], [0.002, 0.276, 0.514], [0.403, 0.332, 0.792], [0.193, 0.671, 0.408], [0.807, 0.671, 0.092], [0.016, 0.334, 0.361], [0.141, 0.046, 0.585], [0.398, 0.606, 0.051], [0.794, 0.239, 0.119], [0.117, 0.244, 0.256], [0.806, 0.646, 0.858], [0.276, 0.274, 0.033], [0.883, 0.244, 0.244], [0.206, 0.239, 0.381], [0.404, 0.236, 0.322], [0.194, 0.646, 0.642], [0.724, 0.274, 0.467], [0.194, 0.354, 0.142], [0.811, 0.369, 0.960], [0.517, 0.735, 0.551], [0.928, 0.680, 0.359], [0.500, 0.573, 0.750], [0.700, 0.045, 0.162], [0.300, 0.955, 0.838], [0.706, 0.953, 0.858], [0.086, 0.725, 0.328], [0.696, 0.543, 0.654], [0.086, 0.275, 0.828], [0.094, 0.515, 0.949], [0.484, 0.740, 0.132], [0.304, 0.457, 0.346], [0.295, 0.786, 0.978], [0.705, 0.786, 0.522], [0.906, 0.485, 0.051], [0.893, 0.788, 0.937], [0.914, 0.275, 0.672], [0.516, 0.260, 0.868], [0.705, 0.214, 0.022], [0.294, 0.047, 0.142], [0.500, 0.000, 0.500], [0.300, 0.045, 0.338], [0.896, 0.985, 0.299], [0.896, 0.015, 0.799], [0.094, 0.485, 0.449], [0.500, 0.000, 0.000], [0.107, 0.788, 0.563], [0.104, 0.015, 0.701], [0.104, 0.985, 0.201], [0.484, 0.260, 0.632], [0.700, 0.955, 0.662], [0.516, 0.740, 0.368], [0.304, 0.543, 0.846], [0.906, 0.515, 0.551], [0.893, 0.212, 0.437], [0.500, 0.427, 0.250], [0.295, 0.214, 0.478], [0.107, 0.212, 0.063], [0.696, 0.457, 0.154], [0.706, 0.047, 0.358], [0.914, 0.725, 0.172], [0.294, 0.953, 0.642], [0.101, 0.800, 0.833], [0.901, 0.755, 0.431], [0.099, 0.755, 0.069], [0.101, 0.200, 0.333], [0.304, 0.280, 0.740], [0.901, 0.245, 0.931], [0.293, 0.257, 0.954], [0.304, 0.720, 0.240], [0.505, 0.206, 0.374], [0.696, 0.280, 0.760], [0.505, 0.794, 0.874], [0.495, 0.206, 0.126], [0.899, 0.200, 0.167], [0.293, 0.743, 0.454], [0.707, 0.257, 0.546], [0.696, 0.720, 0.260], [0.707, 0.743, 0.046], [0.899, 0.800, 0.667], [0.495, 0.794, 0.626], [0.099, 0.245, 0.569], [0.500, 0.500, 0.500], [0.899, 0.539, 0.802], [0.702, 0.520, 0.902], [0.298, 0.520, 0.598], [0.101, 0.461, 0.198], [0.101, 0.539, 0.698], [0.298, 0.480, 0.098], [0.500, 0.500, 0.000], [0.702, 0.480, 0.402], [0.899, 0.461, 0.302]],
  "crystal_system": "monoclinic"
}



Record 3
{
  "formula": "CoH20Se2N2O14",
  "functional": "PBE with a Hubbard U",
  "state": "optimized geometry",
  "cell": [[-9.412, 6.010, 6.175], [-1.986, -5.672, 2.494], [4.580, -1.161, 8.111]],
  "species": ["O", "O", "O", "O", "O", "O", "O", "O", "O", "O", "O", "O", "O", "O", "O", "O", "O", "O", "O", "O", "O", "O", "O", "O", "O", "O", "O", "O", "H", "H", "H", "H", "H", "H", "H", "H", "H", "H", "H", "H", "H", "H", "H", "H", "H", "H", "H", "H", "H", "H", "H", "H", "H", "H", "H", "H", "H", "H", "H", "H", "H", "H", "H", "H", "H", "H", "H", "H", "N", "N", "N", "N", "Se", "Se", "Se", "Se", "Co", "Co"],
  "frac_coords": [[0.444, 0.393, 0.769], [0.438, 0.207, 0.068], [0.567, 0.709, 0.496], [0.611, 0.038, 0.658], [0.680, 0.968, 0.115], [0.267, 0.423, 0.924], [0.733, 0.577, 0.076], [0.767, 0.577, 0.576], [0.180, 0.032, 0.385], [0.067, 0.291, 0.004], [0.107, 0.832, 0.168], [0.393, 0.832, 0.668], [0.111, 0.962, 0.842], [0.389, 0.962, 0.342], [0.607, 0.168, 0.332], [0.933, 0.709, 0.996], [0.062, 0.207, 0.568], [0.433, 0.291, 0.504], [0.889, 0.038, 0.158], [0.893, 0.168, 0.832], [0.320, 0.032, 0.885], [0.562, 0.793, 0.932], [0.056, 0.393, 0.269], [0.944, 0.607, 0.731], [0.820, 0.968, 0.615], [0.233, 0.423, 0.424], [0.556, 0.607, 0.231], [0.938, 0.793, 0.432], [0.096, 0.053, 0.738], [0.420, 0.624, 0.168], [0.120, 0.896, 0.250], [0.920, 0.376, 0.332], [0.321, 0.543, 0.073], [0.857, 0.679, 0.021], [0.586, 0.320, 0.288], [0.829, 0.200, 0.431], [0.706, 0.391, 0.769], [0.643, 0.679, 0.521], [0.206, 0.609, 0.731], [0.086, 0.680, 0.212], [0.329, 0.800, 0.069], [0.914, 0.320, 0.788], [0.880, 0.104, 0.750], [0.357, 0.321, 0.479], [0.620, 0.104, 0.250], [0.671, 0.200, 0.931], [0.179, 0.543, 0.573], [0.944, 0.668, 0.903], [0.171, 0.800, 0.569], [0.816, 0.006, 0.137], [0.821, 0.457, 0.427], [0.444, 0.332, 0.597], [0.294, 0.609, 0.231], [0.404, 0.053, 0.238], [0.414, 0.680, 0.712], [0.580, 0.376, 0.832], [0.080, 0.624, 0.668], [0.794, 0.391, 0.269], [0.184, 0.994, 0.863], [0.679, 0.457, 0.927], [0.316, 0.994, 0.363], [0.684, 0.006, 0.637], [0.143, 0.321, 0.979], [0.380, 0.896, 0.750], [0.056, 0.332, 0.097], [0.904, 0.947, 0.262], [0.596, 0.947, 0.762], [0.556, 0.668, 0.403], [0.659, 0.356, 0.863], [0.341, 0.644, 0.137], [0.159, 0.644, 0.637], [0.841, 0.356, 0.363], [0.132, 0.259, 0.413], [0.868, 0.741, 0.587], [0.368, 0.259, 0.913], [0.632, 0.741, 0.087], [0.000, 0.000, 0.000], [0.500, 0.000, 0.500]],
  "crystal_system": "monoclinic"
}



For the records above, the corresponding formation energy values read -2.674; -2.527; -1.084 eV/atom.